VASP calculation (meta-GGA r2SCAN) on a relaxed BaRhF6 crystal.

Lattice parameters (Å, degrees): 4.935 4.935 4.935 98.33 98.33 98.33
Element x y z (fractional)
Ba: 0.500 0.500 0.500
Rh: 0.000 0.000 0.000
F: 0.720 0.720 0.075
F: 0.720 0.075 0.720
F: 0.280 0.925 0.280
F: 0.280 0.280 0.925
F: 0.925 0.280 0.280
F: 0.075 0.720 0.720

Properties
As for the total energy: -11.369 eV/atom. Its formation energy is -2.69 eV/atom. The calculation puts the spin magnetization at 1.000 μB/f.u. As for the space group: No. 166.